BaTbF6: relaxed, PBE-GGA.

Unit cell a=7.5228 b=8.8076 c=8.9432 alpha=102.21 beta=96.59 gamma=113.46
With the nearest neighbours (Å) after each atom.
Positions (direct):
Ba: 0.2013 0.1841 0.2326  10 F 2.69-2.97
Ba: 0.2120 0.7342 0.4573  9 F 2.68-2.96
Ba: 0.7880 0.2658 0.5427  9 F 2.68-2.96
Ba: 0.7987 0.8159 0.7674  10 F 2.69-2.97
Tb: 0.2703 0.7179 0.9381  8 F 2.24-2.39
Tb: 0.3256 0.2380 0.7241  8 F 2.26-2.37
Tb: 0.6744 0.7620 0.2759  8 F 2.26-2.37
Tb: 0.7297 0.2821 0.0619  8 F 2.24-2.39
F: 0.0000 0.5000 0.0000  2 Tb 2.39, 2 F 2.56
F: 0.0109 0.8715 0.2986  1 Tb 2.29
F: 0.0192 0.6021 0.7180  1 Tb 2.29
F: 0.0979 0.8724 0.0043  1 Tb 2.26
F: 0.1864 0.3216 0.5324  1 Tb 2.30
F: 0.1930 0.9523 0.7104  1 Tb 2.28
F: 0.2601 0.4535 0.8587  2 Tb 2.25-2.28
F: 0.3707 0.7792 0.2039  2 Tb 2.29-2.37
F: 0.3787 0.1104 0.4972  1 Tb 2.26
F: 0.4043 0.2597 0.9854  2 Tb 2.29-2.38
F: 0.4099 0.5349 0.3061  1 Tb 2.28
F: 0.4104 0.7438 0.7307  1 Tb 2.24
F: 0.5000 0.0000 0.0000  2 Tb 2.29
F: 0.5896 0.2562 0.2693  1 Tb 2.24
F: 0.5901 0.4651 0.6939  1 Tb 2.28
F: 0.5957 0.7403 0.0146  2 Tb 2.29-2.38
F: 0.6213 0.8896 0.5028  1 Tb 2.26
F: 0.6293 0.2208 0.7961  2 Tb 2.29-2.37
F: 0.7399 0.5465 0.1413  2 Tb 2.25-2.28
F: 0.8070 0.0477 0.2896  1 Tb 2.28
F: 0.8136 0.6784 0.4676  1 Tb 2.30
F: 0.9021 0.1276 0.9957  1 Tb 2.26
F: 0.9808 0.3979 0.2820  1 Tb 2.29
F: 0.9891 0.1285 0.7014  1 Tb 2.29

Values from the calculation:
* magnetic moment: 4.00 μB per cell
* space group: P-1
* formation energy: -3.806 eV/atom